1.
# Li2PtO3 r2SCAN relaxed
# ΔH_f (0 K) (eV/atom): -1.5222
# Raw total energy (eV/atom): -13.89
# Magnetic moment (μB per cell): 0.000
data_Li2PtO3
_space_group_name_H-M_alt 'P 1'
_space_group_IT_number 1
_cell_length_a 5.1924
_cell_length_b 5.1924
_cell_length_c 28.5197
_cell_angle_alpha 90.02
_cell_angle_beta 90.02
_cell_angle_gamma 119.96
loop_
_space_group_symop_operation_xyz
'x,y,z'
loop_
_atom_site_label
_atom_site_type_symbol
_atom_site_fract_x
_atom_site_fract_y
_atom_site_fract_z
Li1 Li 0.0000 0.0000 0.0000
Li2 Li 0.0014 0.3370 0.1663
Li3 Li 0.0029 0.6635 0.5837
Li4 Li 0.3246 0.3297 0.0834
Li5 Li 0.3287 0.3377 0.5837
Li6 Li 0.3291 0.6642 0.2497
Li7 Li 0.3326 0.6674 0.5000
Li8 Li 0.3342 0.0012 0.9168
Li9 Li 0.3358 0.6709 0.7503
Li10 Li 0.3365 0.9971 0.4163
Li11 Li 0.6623 0.6713 0.4163
Li12 Li 0.6630 0.9986 0.8337
Li13 Li 0.6659 0.0006 0.3330
Li14 Li 0.6674 0.0022 0.5833
Li15 Li 0.6689 0.3306 0.2499
Li16 Li 0.6694 0.3311 0.7501
Li17 Li 0.6703 0.6754 0.9166
Li18 Li 0.6731 0.0045 0.0836
Li19 Li 0.9958 0.0037 0.2499
Li20 Li 0.9963 0.0042 0.7501
Li21 Li 0.9955 0.3269 0.9164
Li22 Li 0.9978 0.3326 0.4167
Li23 Li 0.9994 0.3341 0.6670
Li24 Li 0.9988 0.6658 0.0832
Pt1 Pt 0.3325 0.0006 0.1666
Pt2 Pt 0.3325 0.3339 0.3331
Pt3 Pt 0.3328 0.0009 0.6669
Pt4 Pt 0.3328 0.3341 0.8334
Pt5 Pt 0.3326 0.6674 0.0000
Pt6 Pt 0.6660 0.3340 0.0000
Pt7 Pt 0.6658 0.3342 0.5000
Pt8 Pt 0.6659 0.6672 0.1666
Pt9 Pt 0.6661 0.6675 0.6669
Pt10 Pt 0.9994 0.0006 0.5000
Pt11 Pt 0.9991 0.6672 0.3331
Pt12 Pt 0.9994 0.6675 0.8334
O1 O 0.9999 0.3470 0.0395
O2 O 0.9997 0.9884 0.6278
O3 O 0.0114 0.3462 0.2936
O4 O 0.0116 0.0003 0.3722
O5 O 0.0120 0.0007 0.8729
O6 O 0.0121 0.3473 0.7940
O7 O 0.3199 0.0009 0.2940
O8 O 0.3201 0.0006 0.7943
O9 O 0.3200 0.6547 0.3726
O10 O 0.3206 0.6552 0.8726
O11 O 0.3324 0.0135 0.5392
O12 O 0.3328 0.3213 0.4608
O13 O 0.3454 0.0010 0.0392
O14 O 0.3454 0.3345 0.2057
O15 O 0.3453 0.3339 0.7060
O16 O 0.3454 0.3464 0.9608
O17 O 0.3448 0.6794 0.1274
O18 O 0.3453 0.6800 0.6274
O19 O 0.6530 0.0001 0.9605
O20 O 0.6534 0.3340 0.1275
O21 O 0.6527 0.9879 0.2060
O22 O 0.6536 0.3345 0.6278
O23 O 0.6536 0.6546 0.0392
O24 O 0.6538 0.9886 0.7064
O25 O 0.6655 0.3464 0.3722
O26 O 0.6660 0.3466 0.8725
O27 O 0.6661 0.6547 0.2940
O28 O 0.6655 0.6546 0.7943
O29 O 0.6784 0.0132 0.4604
O30 O 0.6787 0.6672 0.5392
O31 O 0.9865 0.6676 0.4608
O32 O 0.9868 0.3216 0.5396
O33 O 0.9990 0.6546 0.9608
O34 O 0.9994 0.6799 0.2057
O35 O 0.9991 0.6801 0.7060
O36 O 0.9993 0.9880 0.1271

---

2.
# Li5ReO6 r2SCAN relaxed
# ΔH_f (0 K) (eV/atom): -2.1459
# Raw total energy (eV/atom): -10.49
# Magnetic moment (μB per cell): 0.000
data_Li5ReO6
_space_group_name_H-M_alt 'P 1'
_space_group_IT_number 1
_cell_length_a 5.0082
_cell_length_b 5.0082
_cell_length_c 4.9921
_cell_angle_alpha 99.89
_cell_angle_beta 99.89
_cell_angle_gamma 119.76
loop_
_space_group_symop_operation_xyz
'x,y,z'
loop_
_atom_site_label
_atom_site_type_symbol
_atom_site_fract_x
_atom_site_fract_y
_atom_site_fract_z
Li1 Li 0.0000 0.0000 0.0000
Li2 Li 0.1666 0.8334 0.5000
Li3 Li 0.3230 0.6770 0.0000
Li4 Li 0.6770 0.3230 0.0000
Li5 Li 0.8334 0.1666 0.5000
Re1 Re 0.5000 0.5000 0.5000
O1 O 0.1133 0.4221 0.2644
O2 O 0.2703 0.2703 0.7286
O3 O 0.4221 0.1133 0.2644
O4 O 0.5779 0.8867 0.7356
O5 O 0.7297 0.7297 0.2714
O6 O 0.8867 0.5779 0.7356

---

3.
# Li5ReO6 r2SCAN relaxed
# ΔH_f (0 K) (eV/atom): -2.1459
# Raw total energy (eV/atom): -10.49
# Magnetic moment (μB per cell): 0.000
data_Li5ReO6
_space_group_name_H-M_alt 'P 1'
_space_group_IT_number 1
_cell_length_a 5.0134
_cell_length_b 5.0134
_cell_length_c 14.0640
_cell_angle_alpha 90.00
_cell_angle_beta 90.00
_cell_angle_gamma 120.00
loop_
_space_group_symop_operation_xyz
'x,y,z'
loop_
_atom_site_label
_atom_site_type_symbol
_atom_site_fract_x
_atom_site_fract_y
_atom_site_fract_z
Li1 Li 0.0867 0.5434 0.0000
Li2 Li 0.1003 0.2005 0.6667
Li3 Li 0.1003 0.8997 0.3333
Li4 Li 0.1111 0.2222 0.1667
Li5 Li 0.1111 0.8889 0.8333
Li6 Li 0.4444 0.2222 0.0000
Li7 Li 0.4446 0.2223 0.5000
Li8 Li 0.4566 0.5434 0.3333
Li9 Li 0.4566 0.9133 0.6667
Li10 Li 0.7778 0.2222 0.3333
Li11 Li 0.7777 0.2223 0.8333
Li12 Li 0.7777 0.5554 0.1667
Li13 Li 0.7778 0.5556 0.6667
Li14 Li 0.7778 0.8889 0.5000
Li15 Li 0.7995 0.8997 0.0000
Re1 Re 0.1129 0.5565 0.5000
Re2 Re 0.4435 0.5565 0.8333
Re3 Re 0.4435 0.8871 0.1667
O1 O 0.1091 0.2466 0.4216
O2 O 0.1091 0.8625 0.5784
O3 O 0.1368 0.5538 0.7564
O4 O 0.1368 0.5830 0.2436
O5 O 0.1375 0.2466 0.9117
O6 O 0.1375 0.8909 0.0883
O7 O 0.4170 0.5538 0.5769
O8 O 0.4170 0.8632 0.4231
O9 O 0.4451 0.1979 0.2446
O10 O 0.4451 0.2472 0.7554
O11 O 0.4462 0.5830 0.0897
O12 O 0.4462 0.8632 0.9103
O13 O 0.7528 0.1979 0.0887
O14 O 0.7528 0.5549 0.9113
O15 O 0.7534 0.8625 0.7549
O16 O 0.7534 0.8909 0.2451
O17 O 0.8021 0.2472 0.5780
O18 O 0.8021 0.5549 0.4220

---

4.
# LiReO4 r2SCAN relaxed
# ΔH_f (0 K) (eV/atom): -1.9373
# Raw total energy (eV/atom): -15.05
# Magnetic moment (μB per cell): 0.000
data_LiReO4
_space_group_name_H-M_alt 'P 1'
_space_group_IT_number 1
_cell_length_a 6.8999
_cell_length_b 8.3911
_cell_length_c 9.6452
_cell_angle_alpha 96.82
_cell_angle_beta 106.94
_cell_angle_gamma 101.50
loop_
_space_group_symop_operation_xyz
'x,y,z'
loop_
_atom_site_label
_atom_site_type_symbol
_atom_site_fract_x
_atom_site_fract_y
_atom_site_fract_z
Li1 Li 0.0339 0.1171 0.2845
Li2 Li 0.2507 0.6984 0.9105
Li3 Li 0.4614 0.3083 0.5081
Li4 Li 0.5386 0.6917 0.4919
Li5 Li 0.7493 0.3016 0.0895
Li6 Li 0.9661 0.8829 0.7155
Re1 Re 0.0226 0.2947 0.6220
Re2 Re 0.2979 0.4035 0.1587
Re3 Re 0.4949 0.0070 0.2438
Re4 Re 0.5051 0.9930 0.7562
Re5 Re 0.7021 0.5965 0.8413
Re6 Re 0.9774 0.7053 0.3780
O1 O 0.0194 0.1222 0.7063
O2 O 0.0565 0.2754 0.1450
O3 O 0.1371 0.2747 0.4828
O4 O 0.1575 0.4733 0.7526
O5 O 0.2328 0.6944 0.4584
O6 O 0.2500 0.5688 0.0746
O7 O 0.2681 0.8721 0.7574
O8 O 0.3426 0.9094 0.0668
O9 O 0.3568 0.1300 0.3177
O10 O 0.4328 0.2959 0.0702
O11 O 0.4467 0.4786 0.3440
O12 O 0.4541 0.1417 0.6501
O13 O 0.5459 0.8583 0.3499
O14 O 0.5533 0.5214 0.6560
O15 O 0.5672 0.7041 0.9298
O16 O 0.6432 0.8700 0.6823
O17 O 0.6574 0.0906 0.9332
O18 O 0.7319 0.1279 0.2426
O19 O 0.7500 0.4312 0.9254
O20 O 0.7672 0.3056 0.5416
O21 O 0.8425 0.5267 0.2474
O22 O 0.8629 0.7253 0.5172
O23 O 0.9435 0.7246 0.8550
O24 O 0.9806 0.8778 0.2937

---

5.
# LiRhO2 r2SCAN relaxed
# ΔH_f (0 K) (eV/atom): -1.4458
# Raw total energy (eV/atom): -11.06
# Magnetic moment (μB per cell): 0.000
data_LiRhO2
_space_group_name_H-M_alt 'P 1'
_space_group_IT_number 1
_cell_length_a 5.9894
_cell_length_b 5.9894
_cell_length_c 5.9894
_cell_angle_alpha 60.00
_cell_angle_beta 60.00
_cell_angle_gamma 60.00
loop_
_space_group_symop_operation_xyz
'x,y,z'
loop_
_atom_site_label
_atom_site_type_symbol
_atom_site_fract_x
_atom_site_fract_y
_atom_site_fract_z
Li1 Li 0.0000 0.0000 0.0000
Li2 Li 0.0000 0.0000 0.5000
Li3 Li 0.0000 0.5000 0.0000
Li4 Li 0.5000 0.0000 0.0000
Rh1 Rh 0.0000 0.5000 0.5000
Rh2 Rh 0.5000 0.0000 0.5000
Rh3 Rh 0.5000 0.5000 0.0000
Rh4 Rh 0.5000 0.5000 0.5000
O1 O 0.2566 0.2566 0.2566
O2 O 0.2566 0.2566 0.7302
O3 O 0.2566 0.7302 0.2566
O4 O 0.2698 0.7434 0.7434
O5 O 0.7302 0.2566 0.2566
O6 O 0.7434 0.2698 0.7434
O7 O 0.7434 0.7434 0.2698
O8 O 0.7434 0.7434 0.7434

---

6.
# Li3RuO4 r2SCAN relaxed
# ΔH_f (0 K) (eV/atom): -1.8455
# Raw total energy (eV/atom): -8.90
# Magnetic moment (μB per cell): 6.000
data_Li3RuO4
_space_group_name_H-M_alt 'P 1'
_space_group_IT_number 1
_cell_length_a 5.0752
_cell_length_b 5.8404
_cell_length_c 5.0494
_cell_angle_alpha 90.00
_cell_angle_beta 110.03
_cell_angle_gamma 90.00
loop_
_space_group_symop_operation_xyz
'x,y,z'
loop_
_atom_site_label
_atom_site_type_symbol
_atom_site_fract_x
_atom_site_fract_y
_atom_site_fract_z
Li1 Li 0.0000 0.1076 0.2500
Li2 Li 0.0000 0.3652 0.7500
Li3 Li 0.0000 0.6348 0.2500
Li4 Li 0.0000 0.8924 0.7500
Li5 Li 0.5000 0.1205 0.7500
Li6 Li 0.5000 0.8795 0.2500
Ru1 Ru 0.5000 0.3565 0.2500
Ru2 Ru 0.5000 0.6435 0.7500
O1 O 0.2583 0.1381 0.0174
O2 O 0.2583 0.8619 0.5174
O3 O 0.2712 0.3863 0.4957
O4 O 0.2712 0.6137 0.9957
O5 O 0.7288 0.3863 0.0043
O6 O 0.7288 0.6137 0.5043
O7 O 0.7417 0.1381 0.4826
O8 O 0.7417 0.8619 0.9826

---

7.
# LiSbO2 r2SCAN relaxed
# ΔH_f (0 K) (eV/atom): -1.7514
# Raw total energy (eV/atom): -11.76
# Magnetic moment (μB per cell): 0.000
data_LiSbO2
_space_group_name_H-M_alt 'P 1'
_space_group_IT_number 1
_cell_length_a 5.6570
_cell_length_b 5.6570
_cell_length_c 5.2528
_cell_angle_alpha 113.48
_cell_angle_beta 113.48
_cell_angle_gamma 104.06
loop_
_space_group_symop_operation_xyz
'x,y,z'
loop_
_atom_site_label
_atom_site_type_symbol
_atom_site_fract_x
_atom_site_fract_y
_atom_site_fract_z
Li1 Li 0.0451 0.9549 0.7500
Li2 Li 0.9549 0.0451 0.2500
Sb1 Sb 0.3956 0.6044 0.2500
Sb2 Sb 0.6044 0.3956 0.7500
O1 O 0.2357 0.3033 0.7392
O2 O 0.3033 0.2357 0.2392
O3 O 0.6967 0.7643 0.7608
O4 O 0.7643 0.6967 0.2608

---

8.
# LiSbO2 r2SCAN relaxed
# ΔH_f (0 K) (eV/atom): -1.7901
# Raw total energy (eV/atom): -11.80
# Magnetic moment (μB per cell): 0.000
data_LiSbO2
_space_group_name_H-M_alt 'P 1'
_space_group_IT_number 1
_cell_length_a 4.8754
_cell_length_b 17.9313
_cell_length_c 5.5554
_cell_angle_alpha 90.00
_cell_angle_beta 90.10
_cell_angle_gamma 90.00
loop_
_space_group_symop_operation_xyz
'x,y,z'
loop_
_atom_site_label
_atom_site_type_symbol
_atom_site_fract_x
_atom_site_fract_y
_atom_site_fract_z
Li1 Li 0.2335 0.2134 0.4590
Li2 Li 0.2335 0.2866 0.9590
Li3 Li 0.2664 0.7135 0.3771
Li4 Li 0.2664 0.7865 0.8771
Li5 Li 0.7336 0.2135 0.1229
Li6 Li 0.7336 0.2865 0.6229
Li7 Li 0.7665 0.7134 0.0410
Li8 Li 0.7665 0.7866 0.5410
Sb1 Sb 0.2455 0.6003 0.9253
Sb2 Sb 0.2455 0.8997 0.4253
Sb3 Sb 0.2554 0.1005 0.0051
Sb4 Sb 0.2554 0.3995 0.5051
Sb5 Sb 0.7446 0.6005 0.4949
Sb6 Sb 0.7446 0.8995 0.9949
Sb7 Sb 0.7545 0.1003 0.5747
Sb8 Sb 0.7545 0.3997 0.0747
O1 O 0.1389 0.6200 0.5809
O2 O 0.1389 0.8800 0.0809
O3 O 0.1649 0.6971 0.0430
O4 O 0.1649 0.8029 0.5430
O5 O 0.3351 0.1971 0.1250
O6 O 0.3351 0.3029 0.6250
O7 O 0.3609 0.1202 0.6616
O8 O 0.3609 0.3798 0.1616
O9 O 0.6391 0.6202 0.8384
O10 O 0.6391 0.8798 0.3384
O11 O 0.6649 0.6971 0.3750
O12 O 0.6649 0.8029 0.8750
O13 O 0.8351 0.1971 0.4570
O14 O 0.8351 0.3029 0.9570
O15 O 0.8611 0.1200 0.9191
O16 O 0.8611 0.3800 0.4191

---

The highest ΔH_f (0 K) belongs to which entry? LiRhO2

---

The highest magnetic moment belongs to which entry? Li3RuO4